(1)
Li3Fe3TeO8: relaxed, GGA+U.

POSCAR file:
```
Li3Fe3TeO8
1.0
3.0705 1.7728 4.9702
-3.0705 1.7728 4.9702
0.0000 -3.5455 4.9702
Li Fe Te O
3 3 1 8
Direct
0.0000 0.5000 0.5000 Li
0.5000 0.0000 0.5000 Li
0.5000 0.5000 0.0000 Li
0.0000 0.0000 0.5000 Fe
0.0000 0.5000 0.0000 Fe
0.5000 0.0000 0.0000 Fe
0.5000 0.5000 0.5000 Te
0.2381 0.2381 0.2381 O
0.2701 0.7280 0.7280 O
0.2720 0.2720 0.7299 O
0.2720 0.7299 0.2720 O
0.7280 0.2701 0.7280 O
0.7280 0.7280 0.2701 O
0.7299 0.2720 0.2720 O
0.7619 0.7619 0.7619 O
```

- Relative energy among the computed polymorphs: 34 meV/atom
- Crystal system: trigonal
- DFT formation energy: -1.799 eV per atom
- E_tot: -5.91 eV per atom



(2)
Li2Fe3TeO8: relaxed, GGA+U.

POSCAR file:
```
Li2Fe3TeO8
1.0
5.2342 -3.0247 0.0000
5.2342 3.0247 0.0000
-3.4974 0.0000 5.1080
Li Fe Te O
2 3 1 8
Direct
0.1372 0.1372 0.4115 Li
0.8628 0.8628 0.5885 Li
0.0000 0.5000 0.0000 Fe
0.5000 0.0000 0.0000 Fe
0.5000 0.5000 0.0000 Fe
0.5000 0.5000 0.5000 Te
0.2682 0.2682 0.8040 O
0.2690 0.2690 0.2566 O
0.2690 0.7187 0.2565 O
0.2813 0.7310 0.7435 O
0.7187 0.2690 0.2565 O
0.7310 0.2813 0.7435 O
0.7310 0.7310 0.7434 O
0.7318 0.7318 0.1960 O
```

- Magnetization: 14.00 μB per cell
- Relative energy among the computed polymorphs: 27 meV/atom
- Crystal system: monoclinic
- DFT formation energy: -1.781 eV per atom
- E_tot: -6.04 eV per atom



(3)
Li3Fe3TeO8: relaxed, GGA+U.

POSCAR file:
```
Li3Fe3TeO8
1.0
5.2615 -3.0647 0.0000
5.2615 3.0647 0.0000
-3.3916 0.0000 5.0749
Li Fe Te O
3 3 1 8
Direct
0.0000 0.0000 0.0000 Li
0.0000 0.5000 0.5000 Li
0.5000 0.0000 0.5000 Li
0.0000 0.5000 0.0000 Fe
0.5000 0.0000 0.0000 Fe
0.5000 0.5000 0.5000 Fe
0.0000 0.0000 0.5000 Te
0.2218 0.2218 0.7198 O
0.2281 0.7652 0.7204 O
0.2348 0.7719 0.2796 O
0.2711 0.2711 0.2534 O
0.7289 0.7289 0.7466 O
0.7652 0.2281 0.7204 O
0.7719 0.2348 0.2796 O
0.7782 0.7782 0.2802 O
```

- Magnetization: 13.00 μB per cell
- Relative energy among the computed polymorphs: 0 meV/atom
- Crystal system: monoclinic
- DFT formation energy: -1.833 eV per atom
- E_tot: -5.94 eV per atom



(4)
Li4Fe3TeO8: relaxed, GGA+U.

POSCAR file:
```
Li4Fe3TeO8
1.0
3.1105 1.7958 4.8607
-3.1105 1.7958 4.8607
0.0000 -3.5917 4.8607
Li Fe Te O
4 3 1 8
Direct
0.0000 0.0000 0.0000 Li
0.0000 0.5000 0.5000 Li
0.5000 0.0000 0.5000 Li
0.5000 0.5000 0.0000 Li
0.0000 0.0000 0.5000 Fe
0.0000 0.5000 0.0000 Fe
0.5000 0.0000 0.0000 Fe
0.5000 0.5000 0.5000 Te
0.2379 0.2379 0.2379 O
0.2723 0.2723 0.7201 O
0.2723 0.7201 0.2723 O
0.2799 0.7277 0.7277 O
0.7201 0.2723 0.2723 O
0.7277 0.2799 0.7277 O
0.7277 0.7277 0.2799 O
0.7621 0.7621 0.7621 O
```

- Magnetization: 12.00 μB per cell
- Relative energy among the computed polymorphs: 0 meV/atom
- Crystal system: trigonal
- DFT formation energy: -1.858 eV per atom
- E_tot: -5.83 eV per atom